1.
A geometry-optimized NdMgTl structure, computed with meta-GGA r2SCAN.

a = 7.7092 Å, b = 7.7092 Å, c = 4.7370 Å
α = 90.00°, β = 90.00°, γ = 120.00°
With the nearest neighbours (Å) after each atom.
Element x y z (fractional)
1 Nd 0.0000 0.5744 0.0000  5 Tl 3.28-3.30, 2 Mg 3.49
2 Nd 0.5744 0.0000 0.0000  5 Tl 3.28-3.30, 2 Mg 3.49
3 Nd 0.4256 0.4256 0.0000  5 Tl 3.28-3.30, 2 Mg 3.49
4 Mg 0.0000 0.2428 0.5000  4 Tl 2.98-3.02, 2 Mg 3.24
5 Mg 0.2428 0.0000 0.5000  4 Tl 2.98-3.02, 2 Mg 3.24
6 Mg 0.7572 0.7572 0.5000  4 Tl 2.98-3.02, 2 Mg 3.24
7 Tl 0.0000 0.0000 0.0000  6 Mg 3.02, 3 Nd 3.28
8 Tl 0.3333 0.6667 0.5000  3 Mg 2.98, 6 Nd 3.30
9 Tl 0.6667 0.3333 0.5000  3 Mg 2.98, 6 Nd 3.30

Values from the calculation:
- total moment (μB/atom) = 0.000
- calculated formation energy (eV per atom) = -0.466
- space-group type = P-62m (189)

2.
A geometry-optimized DyFe5 structure, computed with meta-GGA r2SCAN.

a = 5.1252 Å, b = 5.1250 Å, c = 3.9222 Å
α = 90.00°, β = 90.00°, γ = 120.00°
With the nearest neighbours (Å) after each atom.
Element x y z (fractional)
1 Fe 0.5000 0.0000 0.5000  8 Fe 2.46-2.56
2 Fe 0.0000 0.5000 0.5000  8 Fe 2.46-2.56
3 Fe 0.6666 0.3332 0.0000  6 Fe 2.46
4 Fe 0.3334 0.6668 0.0000  6 Fe 2.46
5 Fe 0.5000 0.5000 0.5000  8 Fe 2.46-2.56
6 Dy 0.0000 0.0000 0.0000  18 Fe 2.96-3.23

Values from the calculation:
- total moment (μB/atom) = 2.057
- calculated formation energy (eV per atom) = 0.002
- space-group type = P6/mmm (191)

3.
A geometry-optimized CoPO4 structure, computed with meta-GGA r2SCAN.

a = 5.1931 Å, b = 6.2116 Å, c = 7.6730 Å
α = 90.90°, β = 89.95°, γ = 89.98°
With the nearest neighbours (Å) after each atom.
Element x y z (fractional)
1 O 0.7465 0.7339 0.0322  1 P 1.56
2 O 0.2430 0.2478 0.4649  1 P 1.55
3 O 0.2535 0.2661 0.9678  1 P 1.56
4 O 0.7452 0.2658 0.9679  1 P 1.56
5 O 0.9997 0.9519 0.7656  1 P 1.53
6 O 0.7570 0.7522 0.5351  1 P 1.55
7 O 0.0001 0.5446 0.7582  1 P 1.51
8 O 0.4995 0.0564 0.7427  1 P 1.52
9 O 0.0003 0.0481 0.2344  1 P 1.53
10 O 0.4999 0.5378 0.2612  1 P 1.51
11 O 0.5005 0.9436 0.2573  1 P 1.52
12 O 0.2427 0.7523 0.5348  1 P 1.55
13 O 0.7573 0.2477 0.4652  1 P 1.55
14 O 0.2548 0.7342 0.0321  1 P 1.56
15 O 0.9999 0.4554 0.2418  1 P 1.51
16 O 0.5001 0.4622 0.7388  1 P 1.51
17 Co 0.5000 0.0000 0.5000  6 O 1.89-2.06
18 Co 0.0000 0.0000 0.0000  2 O 1.82
19 Co 0.0000 0.5000 0.0000  6 O 1.88-1.98
20 Co 0.5000 0.5000 0.5000  2 O 1.85
21 P 0.9999 0.7472 0.6515  4 O 1.51-1.55
22 P 0.0001 0.2528 0.3485  4 O 1.51-1.55
23 P 0.4998 0.2640 0.8511  4 O 1.51-1.56
24 P 0.5002 0.7361 0.1489  4 O 1.51-1.56

Values from the calculation:
- total moment (μB/atom) = 0.500
- calculated formation energy (eV per atom) = -1.889
- space-group type = P-1 (2)